# 1
UInPt | r2SCAN | relaxed

Properties
Space group: No. 189
Crystal system: hexagonal

a = 7.4855 Å, b = 7.4855 Å, c = 4.1304 Å
α = 90.00°, β = 90.00°, γ = 120.00°
Atoms (fractional coordinates):
U  0.0000  0.4172  0.0000
U  0.4172  0.0000  0.0000
U  0.5828  0.5828  0.0000
In  0.0000  0.7516  0.5000
In  0.2484  0.2484  0.5000
In  0.7516  0.0000  0.5000
Pt  0.0000  0.0000  0.0000
Pt  0.3333  0.6667  0.5000
Pt  0.6667  0.3333  0.5000

---

# 2
U2InPt2 | r2SCAN | relaxed

Properties
Space group: No. 127
Crystal system: tetragonal

a = 7.7557 Å, b = 7.7557 Å, c = 3.7611 Å
α = 90.00°, β = 90.00°, γ = 90.00°
Atoms (fractional coordinates):
U  0.1680  0.3320  0.0000
U  0.3320  0.8320  0.0000
U  0.6680  0.1680  0.0000
U  0.8320  0.6680  0.0000
In  0.0000  0.0000  0.5000
In  0.5000  0.5000  0.5000
Pt  0.1335  0.6335  0.5000
Pt  0.3665  0.1335  0.5000
Pt  0.6335  0.8665  0.5000
Pt  0.8665  0.3665  0.5000

---

# 3
YInPt | r2SCAN | relaxed

Properties
Space group: No. 189
Crystal system: hexagonal

a = 7.6409 Å, b = 7.6409 Å, c = 3.8645 Å
α = 90.00°, β = 90.00°, γ = 120.00°
Atoms (fractional coordinates):
Y  0.0000  0.4064  0.0000
Y  0.4064  0.0000  0.0000
Y  0.5936  0.5936  0.0000
In  0.0000  0.7399  0.5000
In  0.2601  0.2601  0.5000
In  0.7399  0.0000  0.5000
Pt  0.0000  0.0000  0.0000
Pt  0.3333  0.6667  0.5000
Pt  0.6667  0.3333  0.5000

---

# 4
YbIn4Pt | r2SCAN | relaxed

Properties
Space group: No. 63
Crystal system: orthorhombic

a = 8.3244 Å, b = 8.3244 Å, c = 7.8646 Å
α = 90.00°, β = 90.00°, γ = 149.88°
Atoms (fractional coordinates):
Yb  0.1332  0.8668  0.7500
Yb  0.8668  0.1332  0.2500
In  0.0612  0.9388  0.2500
In  0.3198  0.6802  0.5507
In  0.3198  0.6802  0.9493
In  0.5000  0.5000  0.0000
In  0.5000  0.5000  0.5000
In  0.6802  0.3198  0.0507
In  0.6802  0.3198  0.4493
In  0.9388  0.0612  0.7500
Pt  0.2344  0.7656  0.2500
Pt  0.7656  0.2344  0.7500

---

# 5
PuIn3 | r2SCAN | relaxed

Properties
Space group: No. 221
Crystal system: cubic

a = 4.6499 Å, b = 4.6499 Å, c = 4.6499 Å
α = 90.00°, β = 90.00°, γ = 90.00°
Atoms (fractional coordinates):
Pu  0.0000  0.0000  0.0000
In  0.0000  0.5000  0.5000
In  0.5000  0.0000  0.5000
In  0.5000  0.5000  0.0000

---

# 6
Pu2InRh2 | r2SCAN | relaxed

Properties
Space group: No. 127
Crystal system: tetragonal

a = 7.5669 Å, b = 7.5669 Å, c = 3.7098 Å
α = 90.00°, β = 90.00°, γ = 90.00°
Atoms (fractional coordinates):
Pu  0.1717  0.3283  0.0000
Pu  0.3283  0.8283  0.0000
Pu  0.6717  0.1717  0.0000
Pu  0.8283  0.6717  0.0000
In  0.0000  0.0000  0.5000
In  0.5000  0.5000  0.5000
Rh  0.1352  0.6352  0.5000
Rh  0.3648  0.1352  0.5000
Rh  0.6352  0.8648  0.5000
Rh  0.8648  0.3648  0.5000

---

# 7
Rb4In2S5 | r2SCAN | relaxed

Properties
Space group: No. 2
Crystal system: triclinic

a = 7.6534 Å, b = 9.4085 Å, c = 10.9142 Å
α = 72.95°, β = 70.92°, γ = 85.63°
Atoms (fractional coordinates):
Rb  0.0026  0.2898  0.4173
Rb  0.0433  0.6877  0.0434
Rb  0.2742  0.9715  0.1603
Rb  0.3905  0.3179  0.5908
Rb  0.6095  0.6821  0.4092
Rb  0.7258  0.0285  0.8397
Rb  0.9567  0.3123  0.9566
Rb  0.9974  0.7102  0.5827
In  0.3757  0.9091  0.6697
In  0.4686  0.4997  0.1599
In  0.5314  0.5003  0.8401
In  0.6243  0.0909  0.3303
S  0.2282  0.0215  0.8471
S  0.2415  0.6074  0.3167
S  0.2896  0.0219  0.4558
S  0.3048  0.6358  0.7299
S  0.3289  0.3434  0.0642
S  0.6711  0.6566  0.9358
S  0.6952  0.3642  0.2701
S  0.7104  0.9781  0.5442
S  0.7585  0.3926  0.6833
S  0.7718  0.9785  0.1529

---

# 8
Rb3InS3 | r2SCAN | relaxed

Properties
Space group: No. 12
Crystal system: monoclinic

a = 8.1837 Å, b = 8.1837 Å, c = 7.9328 Å
α = 96.27°, β = 96.27°, γ = 113.21°
Atoms (fractional coordinates):
Rb  0.1789  0.8211  0.0000
Rb  0.2458  0.7542  0.5000
Rb  0.3878  0.3878  0.1450
Rb  0.6122  0.6122  0.8550
Rb  0.7542  0.2458  0.5000
Rb  0.8211  0.1789  0.0000
In  0.1759  0.1759  0.6478
In  0.8241  0.8241  0.3522
S  0.1004  0.1004  0.3224
S  0.1541  0.4485  0.7755
S  0.4485  0.1541  0.7755
S  0.5515  0.8459  0.2245
S  0.8459  0.5515  0.2245
S  0.8996  0.8996  0.6776

---

Listing E_form for the structures above in their given order: -0.752 -0.820 -1.133 -0.546 -0.426 -0.702 -1.214 -1.253 eV per atom.